*w*
Ta4SnO12 | Materials Project | PBE | relaxed; density = 6.94 Mg/m³
1.0
5.0402 0.0000 0.0000
-0.0118 5.5662 0.0000
-2.2976 -1.2010 8.8292
Ta Sn O
4 1 12
Direct
0.0000 0.0000 0.0000
0.1345 0.7183 0.3087
0.4942 0.5045 0.0003
0.6373 0.2176 0.3019
0.5365 0.1014 0.6539
0.1724 0.2714 0.9621
0.2764 0.0245 0.2195
0.2823 0.7712 0.9522
0.3368 0.8285 0.5117
0.4186 0.5277 0.2200
0.5127 0.3859 0.8001
0.5974 0.2988 0.5033
0.7174 0.1919 0.0847
0.7798 0.9169 0.7963
0.8469 0.9479 0.3449
0.8586 0.6924 0.0860
0.9609 0.4509 0.3512

***

*x*
Ta4SnO12 | Materials Project | PBE | relaxed; density = 6.87 Mg/m³
1.0
-3.9696 3.9696 3.9696
3.9696 -3.9696 3.9696
3.9696 3.9696 -3.9696
Ta Sn O
4 1 12
Direct
0.0000 0.0000 0.5000
0.0000 0.5000 0.0000
0.5000 0.0000 0.0000
0.5000 0.5000 0.5000
0.0000 0.0000 0.0000
0.0000 0.2430 0.7570
0.0000 0.7570 0.2430
0.2430 0.0000 0.7570
0.2430 0.2430 0.4860
0.2430 0.4860 0.2430
0.2430 0.7570 0.0000
0.4860 0.2430 0.2430
0.5140 0.7570 0.7570
0.7570 0.0000 0.2430
0.7570 0.2430 0.0000
0.7570 0.5140 0.7570
0.7570 0.7570 0.5140

***

Which structure above is the least stable one? *x* is the least stable one.